Entry from Materials Project: a geometry-optimized Sr4Mn2Nb4Bi4O23 structure (PBE+U).

a = 5.6096 Å, b = 5.6100 Å, c = 16.5384 Å
α = 89.96°, β = 80.24°, γ = 89.76°
Fractional positions:
1 O 0.5844 0.9746 0.8820
2 O 0.6308 0.2500 0.2384
3 O 0.3692 0.7500 0.7616
4 O 0.2500 0.2500 0.0000
5 O 0.8719 0.7500 0.7562
6 O 0.2500 0.7500 0.0000
7 O 0.4664 0.9746 0.1180
8 O 0.1308 0.7500 0.2384
9 O 0.8205 0.4956 0.3676
10 O 0.3652 0.2500 0.7697
11 O 0.9999 0.7500 0.5002
12 O 0.6281 0.7500 0.2438
13 O 0.3119 0.0044 0.3676
14 O 0.1881 0.4956 0.6324
15 O 0.5000 0.2500 0.5000
16 O 0.1348 0.2500 0.2303
17 O 0.7500 0.2500 0.0000
18 O 0.9156 0.5254 0.1180
19 O 0.5001 0.7500 0.4998
20 O 0.0000 0.2500 0.5000
21 O 0.8692 0.2500 0.7616
22 O 0.6795 0.0044 0.6324
23 O 0.0336 0.5254 0.8820
24 Nb 0.1236 0.5017 0.7493
25 Nb 0.3764 0.9983 0.2507
26 Nb 0.6271 0.9983 0.7493
27 Nb 0.8729 0.5017 0.2507
28 Bi 0.2868 0.4995 0.4249
29 Bi 0.7884 0.0005 0.4249
30 Bi 0.2132 0.0005 0.5751
31 Bi 0.7116 0.4995 0.5751
32 Sr 0.4317 0.4906 0.1178
33 Sr 0.0683 0.0094 0.8822
34 Sr 0.9505 0.0094 0.1178
35 Sr 0.5495 0.4906 0.8822
36 Mn 0.4949 0.0051 0.0000
37 Mn 0.0051 0.4949 0.0000

Properties
- E (MP2020): -7.874 eV per atom
- Electronic total energy: -7.357 eV/atom
- Energy of formation: -2.61 eV per atom